(1)
DFT (PBE) results for crystalline Ba2LiC2O6 at its relaxed geometry.

a = 4.530 Å, b = 5.558 Å, c = 6.893 Å
α = 90.14°, β = 102.87°, γ = 90.00°
Space group P1 (No. 1)
Unique sites:
Ba  0.000  0.000  0.000 (multiplicity 1)
Ba  0.269  0.500  0.509 (multiplicity 1)
Li  0.799  0.499  0.894 (multiplicity 1)
C  0.323  0.498  0.959 (multiplicity 1)
C  0.887  0.999  0.523 (multiplicity 1)
O  0.059  0.999  0.394 (multiplicity 1)
O  0.157  0.502  0.103 (multiplicity 1)
O  0.472  0.705  0.932 (multiplicity 1)
O  0.476  0.291  0.940 (multiplicity 1)
O  0.809  0.795  0.591 (multiplicity 1)
O  0.810  0.203  0.591 (multiplicity 1)

Output
Formation energy   -2.3070 eV per atom
Electronic total energy   -6.832 eV/atom
Crystal system   triclinic
ΔE to the lowest computed polymorph   0.005 eV/atom
Size of the total moment   1.000 μB per formula unit

=====

(2)
DFT (PBE) results for crystalline MgSi at its relaxed geometry.

a = 3.750 Å, b = 29.486 Å, c = 4.058 Å
α = 90.00°, β = 90.00°, γ = 90.00°
Space group Cmcm (No. 63)
Unique sites:
Mg  0.000  0.049  0.250 (multiplicity 4)
Mg  0.000  0.216  0.750 (multiplicity 4)
Mg  0.000  0.383  0.250 (multiplicity 4)
Si  0.000  0.140  0.250 (multiplicity 4)
Si  0.000  0.307  0.750 (multiplicity 4)
Si  0.000  0.475  0.250 (multiplicity 4)

Output
Formation energy   0.0670 eV per atom
Electronic total energy   -3.481 eV/atom
Crystal system   orthorhombic
Size of the total moment   0.000 μB per formula unit

=====

(3)
DFT (PBE) results for crystalline Cs2Sn2O3 at its relaxed geometry.

a = 13.961 Å, b = 6.215 Å, c = 9.178 Å
α = 90.00°, β = 90.00°, γ = 90.00°
Space group Pnma (No. 62)
Unique sites:
Cs  0.097  0.250  0.164 (multiplicity 4)
Cs  0.132  0.750  0.466 (multiplicity 4)
Sn  0.135  0.250  0.717 (multiplicity 4)
Sn  0.197  0.750  0.916 (multiplicity 4)
O  0.161  0.250  0.494 (multiplicity 4)
O  0.228  0.503  0.768 (multiplicity 8)

Output
Formation energy   -1.7230 eV per atom
Electronic total energy   -4.951 eV/atom
Crystal system   orthorhombic

=====

(4)
DFT (PBE) results for crystalline K3AsS4 at its relaxed geometry.

a = 9.256 Å, b = 9.522 Å, c = 10.815 Å
α = 90.00°, β = 90.00°, γ = 90.00°
Space group Pna2_1 (No. 33)
Unique sites:
K  0.055  0.201  0.000 (multiplicity 4)
K  0.058  0.204  0.591 (multiplicity 4)
K  0.139  0.419  0.302 (multiplicity 4)
As  0.221  0.981  0.294 (multiplicity 4)
S  0.009  0.088  0.295 (multiplicity 4)
S  0.160  0.542  0.961 (multiplicity 4)
S  0.161  0.536  0.625 (multiplicity 4)
S  0.190  0.753  0.297 (multiplicity 4)

Output
Formation energy   -1.1210 eV per atom
Electronic total energy   -3.937 eV/atom
Crystal system   orthorhombic
Size of the total moment   0.000 μB per formula unit

=====

(5)
DFT (PBE) results for crystalline La2Ti2CuO8 at its relaxed geometry.

a = 3.749 Å, b = 3.749 Å, c = 12.163 Å
α = 90.00°, β = 90.00°, γ = 90.00°
Space group P-4m2 (No. 115)
Unique sites:
La  0.000  0.500  0.119 (multiplicity 2)
Ti  0.000  0.500  0.698 (multiplicity 2)
Cu  0.000  0.000  0.500 (multiplicity 1)
O  0.000  0.000  0.262 (multiplicity 2)
O  0.000  0.500  0.549 (multiplicity 2)
O  0.000  0.500  0.923 (multiplicity 2)
O  0.500  0.500  0.258 (multiplicity 2)

Output
Formation energy   -3.2422 eV per atom
Electronic total energy   -8.154 eV/atom
Crystal system   tetragonal
Size of the total moment   0.997 μB per formula unit

=====

(6)
DFT (PBE) results for crystalline Ti3N2O3 at its relaxed geometry.

a = 3.778 Å, b = 9.928 Å, c = 10.053 Å
α = 90.00°, β = 90.00°, γ = 90.00°
Space group Cmc2_1 (No. 36)
Unique sites:
Ti  0.000  0.135  0.000 (multiplicity 4)
Ti  0.000  0.135  0.393 (multiplicity 4)
Ti  0.000  0.195  0.696 (multiplicity 4)
N  0.000  0.046  0.560 (multiplicity 4)
N  0.000  0.303  0.866 (multiplicity 4)
O  0.000  0.045  0.823 (multiplicity 4)
O  0.000  0.246  0.181 (multiplicity 4)
O  0.000  0.314  0.520 (multiplicity 4)

Output
Formation energy   -2.5383 eV per atom
Electronic total energy   -9.181 eV/atom
Crystal system   orthorhombic
Largest piezoelectric modulus   3.8 C/m2
ΔE to the lowest computed polymorph   0.047 eV/atom
Size of the total moment   0.000 μB per formula unit